[1]
LiTb3 (PBE-GGA, optimized geometry); size of the total moment = 0.001 μB per atom; uncorrected energy = -3.77 eV/atom; space group = I4/mmm; ΔE to the lowest computed polymorph = 0 meV/atom
1.0
-2.449 2.449 4.840
2.449 -2.449 4.840
2.449 2.449 -4.840
Tb Li
3 1
Cartesian
2.449 0.000 2.420
0.000 2.449 2.420
0.000 0.000 4.840
0.000 0.000 0.000

---

[2]
MgZn (PBE-GGA, optimized geometry); uncorrected energy = -1.50 eV/atom; space group = P4/mmm
1.0
3.056 0.000 0.000
0.000 3.056 0.000
0.000 0.000 3.833
Mg Zn
1 1
Cartesian
0.000 0.000 0.000
1.528 1.528 1.916

---

[3]
WS4N2 (PBE-GGA, optimized geometry); size of the total moment = 0.161 μB per atom; uncorrected energy = -5.01 eV/atom; space group = Pnma
1.0
-4.051 0.675 6.157
3.534 -8.758 3.286
9.887 6.176 5.827
S N W
16 8 4
Cartesian
0.097 1.543 8.707
5.772 -4.172 6.479
1.395 -7.311 8.392
2.046 1.218 5.744
0.909 -1.727 3.011
9.691 2.294 6.208
6.841 -0.787 6.811
7.742 2.619 9.170
7.324 -3.124 9.526
9.273 -3.449 6.563
2.529 -1.119 8.459
8.461 -0.179 12.259
1.629 -4.525 6.100
-0.320 -4.200 9.062
3.598 2.266 8.791
7.975 5.405 6.878
3.798 -4.410 9.655
-0.776 -1.785 6.357
5.572 2.504 5.615
5.291 -0.183 10.173
3.875 -7.333 5.578
10.146 -0.121 8.913
4.080 -1.723 5.097
5.495 5.427 9.692
9.037 3.699 7.764
7.306 -2.865 7.345
0.333 -5.605 7.506
2.064 0.959 7.925